Entry from the Materials Project: a relaxed structure of LiSc2Ru (PBE-GGA).

The calculation puts the formation enthalpy at 0 K at -0.3645 eV/atom.

The structure belongs to space group Fm-3m (No. 225); the cell edges are 6.548, 6.548 and 6.548 Å and the angles 90.00°, 90.00° and 90.00°. Symmetry generates all atoms from Li at (0.000, 0.000, 0.000), Sc at (0.250, 0.250, 0.250) and Ru at (0.000, 0.000, 0.500).